(1)
The following is a DFT calculation (PBE with a Hubbard U) of an optimized crystal structure of Li2Cr3TeO8.

Calculated values
energy above the most stable polymorph in this dataset: 0.0061 eV per atom
energy relative to the elements: -30.310 eV/f.u.
total magnetization: 8.0 Bohr magnetons per cell

Geometry as extended XYZ:
```
14
Lattice="3.0096 1.7376 5.0777 -3.0096 1.7376 5.0777 0.0000 -3.4752 5.0777" Properties=species:S:1:pos:R:3 pbc="T T T"
Li 0.0000 0.0000 1.9562
Li 0.0000 0.0000 13.2769
Cr -1.5048 -0.8688 5.0777
Cr -1.5048 0.8688 10.1554
Cr 0.0000 1.7376 5.0777
Te 0.0000 0.0000 7.6166
O 0.0000 -1.5875 6.2589
O -1.3748 0.7937 6.2589
O 0.0000 0.0000 4.0454
O -1.3748 -0.7937 8.9742
O 1.3748 0.7938 6.2589
O 0.0000 0.0000 11.1878
O 1.3748 -0.7938 8.9742
O 0.0000 1.5875 8.9742
```

(2)
The following is a DFT calculation (PBE with a Hubbard U) of an optimized crystal structure of UMo5O16.

Calculated values
energy above the most stable polymorph in this dataset: 0.0196 eV per atom
energy relative to the elements: -48.661 eV/f.u.
total magnetization: 8.1 Bohr magnetons per cell

Geometry as extended XYZ:
```
44
Lattice="7.3859 -9.9699 0.0000 7.3859 9.9699 0.0000 0.0000 0.0000 4.1533" Properties=species:S:1:pos:R:3 pbc="T T T"
U 7.3859 5.0185 0.0000
U 7.3859 -5.0185 0.0000
Mo 3.6930 4.9850 0.3889
Mo 1.8315 1.8303 3.7701
Mo 1.8315 -1.8303 0.3831
Mo 5.5352 1.8069 0.3672
Mo 5.5352 -1.8069 3.7860
Mo 3.6930 -4.9850 3.7643
Mo 9.2367 1.8069 3.7860
Mo 9.2367 -1.8069 0.3672
Mo 12.9404 1.8303 0.3831
Mo 12.9404 -1.8303 3.7701
O 3.6930 4.9850 2.1330
O 1.8732 1.8364 2.0320
O 5.2601 6.1724 0.0042
O 1.3263 0.0000 0.0000
O 7.3859 7.4015 0.0000
O 5.2599 3.7368 0.0408
O 3.7602 1.4854 0.0383
O 1.8732 -1.8364 2.1212
O 7.3859 4.9998 2.0766
O 5.5717 1.8061 2.1046
O 3.7602 -1.4854 4.1150
O 9.5117 6.1724 4.1491
O 7.3859 2.5098 0.0000
O 6.0635 0.0000 0.0000
O 9.5120 3.7368 4.1124
O 5.5717 -1.8061 2.0487
O 3.6930 -4.9850 2.0202
O 9.2002 1.8061 2.0487
O 5.2599 -3.7368 4.1124
O 8.7084 0.0000 0.0000
O 7.3859 -2.5098 0.0000
O 5.2601 -6.1724 4.1491
O 11.0117 1.4854 4.1150
O 9.2002 -1.8061 2.1046
O 7.3859 -4.9998 2.0766
O 12.8987 1.8364 2.1212
O 11.0117 -1.4854 0.0383
O 9.5120 -3.7368 0.0408
O 7.3859 -7.4015 0.0000
O 13.4456 0.0000 0.0000
O 9.5117 -6.1724 0.0042
O 12.8987 -1.8364 2.0320
```

(3)
The following is a DFT calculation (PBE with a Hubbard U) of an optimized crystal structure of Li6V3P8O29.

Calculated values
energy above the most stable polymorph in this dataset: 0.0025 eV per atom
energy relative to the elements: -122.363 eV/f.u.
total magnetization: 6.0 Bohr magnetons per cell

Geometry as extended XYZ:
```
92
Lattice="8.5184 -4.9244 0.0000 8.5184 4.9244 0.0000 -0.0339 0.0000 13.9409" Properties=species:S:1:pos:R:3 pbc="T T T"
Li 5.7699 2.9568 9.6102
Li 0.7237 0.0000 2.6342
Li 5.8135 1.6440 2.6408
Li 6.5747 0.2766 11.3274
Li 11.2330 2.9568 4.3307
Li 11.1895 1.6440 11.3000
Li 7.6897 -0.4086 4.3095
Li 10.4283 0.2766 2.6134
Li 9.3133 -0.4086 9.6313
Li 5.6100 -2.6514 8.8397
Li 11.3929 -2.6514 5.1012
Li 16.2793 0.0000 11.3067
V 3.6399 -0.4798 7.0364
V 4.7929 0.1563 13.9094
V 12.2100 0.1563 0.0314
V 8.5015 -2.0073 6.9704
V 13.3631 -0.4798 6.9045
V 8.5184 -3.3183 0.0000
P 5.7502 3.0112 12.6395
P 0.7358 0.0615 5.6733
P 5.7725 1.5889 5.6753
P 1.9427 -0.6567 12.6669
P 11.2528 3.0112 1.3013
P 6.5398 0.2603 8.2554
P 11.2305 1.5889 8.2655
P 7.7551 -0.4426 1.2675
P 10.4631 0.2603 5.6855
P 9.2479 -0.4427 12.6734
P 5.6362 -2.5965 5.2572
P 5.6531 -2.6403 12.2134
P 11.3667 -2.5965 8.6837
P 11.3499 -2.6403 1.7274
P 16.2672 0.0615 8.2675
P 15.0603 -0.6567 1.2739
O 0.7036 0.2809 12.6891
O 5.6276 3.1064 5.7148
O 8.4685 4.7051 9.5311
O 8.5345 4.7051 4.4098
O 6.4162 3.4793 11.3736
O 6.4754 3.3950 2.4655
O 6.7163 3.3766 13.8757
O 8.5015 4.3957 6.9704
O 4.1365 1.6025 1.1948
O 2.8784 0.8770 8.0408
O 4.3682 0.9541 5.8779
O 3.2299 0.1903 12.9083
O 5.6440 1.4619 12.6720
O 2.1428 -0.5841 5.7157
O 10.2867 3.3766 0.0651
O 6.4174 1.0997 9.4953
O 10.5867 3.4793 2.5673
O 6.4465 1.0606 4.4413
O 6.6778 1.2044 6.9652
O 10.5276 3.3950 11.4754
O 6.3495 0.2095 1.2355
O 11.3753 3.1064 8.2261
O 4.0935 -1.2681 1.0300
O 5.3175 -0.6775 8.0525
O 4.3778 -1.8538 5.8570
O 5.7226 -1.1477 12.7375
O 8.5184 0.2129 0.0000
O 10.3251 1.2044 6.9756
O 8.4945 -0.0906 2.5296
O 8.5085 -0.0906 11.4112
O 10.5856 1.0997 4.4456
O 10.5565 1.0606 9.4995
O 11.3590 1.4619 1.2689
O 7.8191 -0.6026 8.2628
O 5.6174 -2.5955 3.7777
O 12.8665 1.6025 12.7460
O 6.9460 -1.8860 5.8288
O 9.1839 -0.6027 5.6781
O 5.6791 -2.6269 10.7044
O 10.6535 0.2095 12.7054
O 12.6347 0.9541 8.0630
O 7.6668 -1.9529 1.0248
O 14.1245 0.8770 5.9001
O 9.3361 -1.9529 12.9160
O 6.9011 -3.4346 12.7559
O 11.6855 -0.6775 5.8884
O 11.2804 -1.1477 1.2034
O 7.5559 -3.3211 8.0126
O 10.0570 -1.8860 8.1120
O 13.7731 0.1903 1.0326
O 12.9095 -1.2681 12.9109
O 9.4471 -3.3211 5.9283
O 16.2993 0.2809 1.2517
O 12.6252 -1.8538 8.0838
O 11.3239 -2.6269 3.2364
O 11.3856 -2.5955 10.1632
O 14.8602 -0.5841 8.2252
O 10.1018 -3.4346 1.1850
```

(4)
The following is a DFT calculation (PBE with a Hubbard U) of an optimized crystal structure of Li4Fe5NiO12.

Calculated values
energy above the most stable polymorph in this dataset: 0.0190 eV per atom
energy relative to the elements: -35.656 eV/f.u.
total magnetization: 24.0 Bohr magnetons per cell

Geometry as extended XYZ:
```
22
Lattice="2.5596 -4.4235 0.0000 2.5596 4.4235 0.0000 -0.1344 0.0000 10.2355" Properties=species:S:1:pos:R:3 pbc="T T T"
Li 0.4678 0.0000 2.5598
Li 1.9579 0.1586 7.6516
Li 3.0268 0.1586 2.5839
Li 4.5169 0.0000 7.6756
Fe 2.5596 3.7803 0.0000
Fe 2.5596 0.8836 0.0000
Fe 2.4924 -0.6246 5.1177
Fe 2.5596 -2.0915 0.0000
Fe 2.4924 -3.5353 5.1177
Ni 2.4924 2.3058 5.1177
O 0.6747 0.7512 9.1474
O 1.7316 2.3978 1.0098
O 0.8118 -0.4974 6.1575
O 1.6967 0.6867 4.0081
O 3.2531 2.3978 9.2257
O 1.6492 -0.5854 1.0871
O 3.2880 0.6867 6.2273
O 1.7325 -2.1047 4.1371
O 3.3355 -0.5854 9.1484
O 4.3100 0.7512 1.0881
O 4.1729 -0.4974 4.0780
O 3.2522 -2.1047 6.0984
```

(5)
The following is a DFT calculation (PBE with a Hubbard U) of an optimized crystal structure of Li2FeP2O8.

Calculated values
energy above the most stable polymorph in this dataset: 0.0021 eV per atom
energy relative to the elements: -31.261 eV/f.u.
total magnetization: 8.0 Bohr magnetons per cell

Geometry as extended XYZ:
```
26
Lattice="5.1357 0.0000 0.0000 0.0000 8.0398 0.0000 -4.7496 0.0000 7.5826" Properties=species:S:1:pos:R:3 pbc="T T T"
Li -0.4008 1.1149 0.7241
Li -2.7756 2.9050 4.5154
Li 3.1617 5.1348 3.0672
Li 0.7869 6.9250 6.8585
Fe -2.3748 0.0000 3.7913
Fe 0.0000 4.0199 0.0000
P -2.1136 5.5940 6.1186
P 0.2612 6.4658 2.3273
P 0.1249 1.5741 5.2553
P 2.4997 2.4459 1.4640
O -2.0754 4.6135 4.9420
O 0.2994 7.4462 1.1507
O -0.1187 5.0365 1.8588
O -2.4935 7.0233 5.6502
O -3.1999 5.1757 7.1549
O -0.8251 6.8841 3.3636
O -1.2644 1.5440 4.5623
O 1.1103 2.4759 0.7709
O -0.7242 5.5640 6.8117
O 1.6506 6.4958 3.0204
O 1.2113 1.1558 4.2191
O 3.5861 2.8641 0.4278
O 2.8796 1.0166 1.9325
O 0.5048 3.0034 5.7238
O 0.0868 0.5936 6.4319
O 2.4615 3.4263 2.6406
```

(6)
The following is a DFT calculation (PBE with a Hubbard U) of an optimized crystal structure of Li3Fe4B4O12.

Calculated values
energy above the most stable polymorph in this dataset: 0.0078 eV per atom
energy relative to the elements: -52.842 eV/f.u.
total magnetization: 34.0 Bohr magnetons per cell

Geometry as extended XYZ:
```
46
Lattice="5.2528 0.0000 0.0000 0.0000 9.0633 0.0000 -5.0317 0.0000 10.2230" Properties=species:S:1:pos:R:3 pbc="T T T"
Li 0.0000 2.1135 0.0000
Li -2.5159 6.9498 5.1115
Li 0.1388 2.3107 5.1318
Li 2.6547 6.7526 0.0203
Li 3.6580 2.1942 2.6608
Li 1.1422 6.8691 7.7723
Fe -2.4629 0.8430 5.5235
Fe 0.0530 8.2202 0.4120
Fe 1.0695 0.6578 2.9335
Fe -1.4463 8.4055 8.0450
Fe 2.6381 3.6727 0.3266
Fe 0.1222 5.3906 5.4381
Fe 1.1299 3.7353 8.0000
Fe 3.6458 5.3280 2.8885
B -2.4657 3.8165 5.4559
B 0.0502 5.2468 0.3444
B 0.9709 3.7810 2.9586
B -1.5450 5.2823 8.0701
B 2.6754 0.7365 0.4134
B 0.1595 8.3268 5.5248
B 1.1655 0.7385 8.0671
B 3.6814 8.3247 2.9556
O -4.4500 4.0098 10.1456
O -1.9341 5.0535 5.0341
O -2.8296 0.6968 7.5612
O -0.3137 8.3665 2.4497
O -1.7243 2.6929 5.3654
O 0.7916 6.3703 0.2539
O 1.3180 0.8083 0.6899
O -1.1978 8.2550 5.8014
O 0.3401 2.5762 3.0588
O -2.1758 6.4871 8.1702
O -2.2497 4.1144 8.3946
O 0.2662 4.9488 3.2831
O 0.7496 0.4545 5.1238
O 3.2654 8.6088 0.0123
O 2.3265 3.8756 2.5733
O -0.1894 5.1877 7.6848
O 3.4560 1.8878 0.5919
O 0.9402 7.1755 5.7034
O 1.4469 3.7830 5.9419
O 3.9628 5.2803 0.8304
O 0.5185 1.9679 8.2483
O 3.0344 7.0954 3.1368
O 3.0211 0.4341 3.3148
O 0.5052 8.6291 8.4263
```